The following is a DFT calculation (meta-GGA r2SCAN) of crystalline Rb8Fe2O7 at its relaxed geometry.

a = 6.9726 Å, b = 17.4095 Å, c = 6.9101 Å
α = 90.00°, β = 118.96°, γ = 90.00°
With the nearest neighbours (Å) after each atom.
Space group P2_1/c (No. 14)
Inequivalent atoms, fractional coordinates:
1 Rb 0.1390 0.0804 0.4955  4 O 2.77-2.92
2 Rb 0.2644 0.7112 0.5506  4 O 2.80-2.96
3 Rb 0.2714 0.5049 0.5421  5 O 2.77-3.07
4 Rb 0.2811 0.1904 0.0463  4 O 2.71-2.81
5 Fe 0.3570 0.5972 0.9996  4 O 1.89-1.96
6 O 0.0805 0.6006 0.7428  1 Fe 1.89
7 O 0.3335 0.6047 0.2601  1 Fe 1.89
8 O 0.4584 0.1765 0.5032  1 Fe 1.89
9 O 0.5000 0.0000 0.5000  2 Fe 1.96

Results
VASP energy = -207.51 eV per formula unit
energy relative to the elements = -1.50 eV/atom